A relaxed Al2ZnS4 crystal, computed with PBE.

The total moment comes out at 0.000 μB per atom. The value obtained for the final energy is -4.567 eV/atom.

The structure belongs to space group Pm (No. 6); the cell edges are 6.165, 3.681 and 6.636 Å and the angles 90.00°, 90.33° and 90.00°. The inequivalent atoms are Al at (0.000, 0.000, 0.000), Al at (0.455, 0.000, 0.321), Zn at (0.990, 0.500, 0.515), S at (0.355, 0.000, 0.006), S at (0.370, 0.500, 0.513), S at (0.843, 0.000, 0.325) and S at (0.850, 0.500, 0.843).

=====

A relaxed Al2ZnS4 crystal, computed with PBE.

The value obtained for the final energy is -4.623 eV/atom.

The structure belongs to space group I-4 (No. 82); the cell edges are 5.344, 5.344 and 10.429 Å and the angles 90.00°, 90.00° and 90.00°. The inequivalent atoms are Al at (0.000, 0.000, 0.000), Al at (0.000, 0.500, 0.250), Zn at (0.000, 0.000, 0.500) and S at (0.241, 0.243, 0.870).

=====

A relaxed Al2ZnS4 crystal, computed with PBE.

The value obtained for the final energy is -4.628 eV/atom.

The structure belongs to space group Fd-3m (No. 227, origin choice 2); the cell edges are 10.088, 10.088 and 10.088 Å and the angles 90.00°, 90.00° and 90.00°. The inequivalent atoms are Al at (0.000, 0.000, 0.000), Zn at (0.125, 0.125, 0.625) and S at (0.010, 0.010, 0.240).

=====

A relaxed Al2Zn2S5 crystal, computed with PBE.

The total moment comes out at 0.000 μB per atom. The value obtained for the final energy is -4.222 eV/atom.

The structure belongs to space group R-3m (No. 166, hexagonal axes); the cell edges are 3.6718, 3.6718 and 45.3142 Å and the angles 90.00°, 90.00° and 120.00°. The inequivalent atoms are Al at (0.0000, 0.0000, 0.2237), Zn at (0.0000, 0.0000, 0.3664), S at (0.0000, 0.0000, 0.0000), S at (0.0000, 0.0000, 0.1312) and S at (0.0000, 0.0000, 0.2718).

=====

A relaxed Al2ZnS4 crystal, computed with PBE.

The total moment comes out at 0.000 μB per atom. The value obtained for the final energy is -4.516 eV/atom.

The structure belongs to space group P3m1 (No. 156); the cell edges are 3.6849, 3.6849 and 11.9532 Å and the angles 90.00°, 90.00° and 120.00°. The inequivalent atoms are Al at (0.0000, 0.0000, 0.0000), Al at (0.3333, 0.6667, 0.3055), Zn at (0.6667, 0.3333, 0.6878), S at (0.3333, 0.6667, 0.1173), S at (0.3333, 0.6667, 0.6272), S at (0.6667, 0.3333, 0.3799) and S at (0.6667, 0.3333, 0.9047).

=====

A relaxed Al2ZnS4 crystal, computed with PBE.

The total moment comes out at 0.000 μB per atom. The value obtained for the final energy is -4.512 eV/atom.

The structure belongs to space group R-3m (No. 166, hexagonal axes); the cell edges are 3.6957, 3.6957 and 36.5814 Å and the angles 90.00°, 90.00° and 120.00°. The inequivalent atoms are Al at (0.0000, 0.0000, 0.2371), Zn at (0.0000, 0.0000, 0.0000), S at (0.0000, 0.0000, 0.1219) and S at (0.0000, 0.0000, 0.2978).

=====

A relaxed Al2Zn2S5 crystal, computed with PBE.

The total moment comes out at 0.000 μB per atom. The value obtained for the final energy is -4.226 eV/atom.

The structure belongs to space group P-3m1 (No. 164); the cell edges are 3.6706, 3.6706 and 15.1592 Å and the angles 90.00°, 90.00° and 120.00°. The inequivalent atoms are Al at (0.3333, 0.6667, 0.1725), Zn at (0.3333, 0.6667, 0.5987), S at (0.0000, 0.0000, 0.5000), S at (0.3333, 0.6667, 0.3164) and S at (0.3333, 0.6667, 0.8922).

=====

Let's list formation enthalpy at 0 K in order: -8.688; -9.076; -9.108; -9.817; -8.328; -8.299; -9.856 eV per formula unit.